VASP calculation (PBE-GGA) on a relaxed Sm3Th crystal.

```
data_Sm3Th
_chemical_formula_sum 'Sm6 Th2'
_symmetry_space_group_name_H-M 'I 4/m m m'
_symmetry_Int_Tables_number 139
_symmetry_space_group_name_Hall '-I 4 2'
_cell_length_a 5.112
_cell_length_b 5.112
_cell_length_c 10.217
_cell_angle_alpha 90.00
_cell_angle_beta 90.00
_cell_angle_gamma 90.00
loop_
_atom_site_label
_atom_site_fract_x
_atom_site_fract_y
_atom_site_fract_z
Sm1 0.000 0.000 0.000
Sm2 0.000 0.500 0.250
Th1 0.000 0.000 0.500
```

Calculated values
* DFT formation energy: 70 meV per atom